# 1
# GGA-PBE WSeS, optimized geometry
# energy of formation = -0.841 eV/atom
# V = 84.5 Å³/f.u.
# spin magnetization = 0.000 μB/atom
data_WSeS
_cell_length_a 3.2537
_cell_length_b 3.2537
_cell_length_c 36.8524
_cell_angle_alpha 90.00
_cell_angle_beta 90.00
_cell_angle_gamma 120.00
_space_group_name_H-M_alt 'P 3 m 1'
_space_group_IT_number 156
_space_group_name_Hall 'P 3 -2"'
loop_
_atom_site_label
_atom_site_type_symbol
_atom_site_fract_x
_atom_site_fract_y
_atom_site_fract_z
W1 W 0.0000 0.0000 0.0000
W2 W 0.0000 0.0000 0.3757
W3 W 0.3333 0.6667 0.1879
W4 W 0.3333 0.6667 0.5636
Se1 Se 0.0000 0.0000 0.1415
Se2 Se 0.0000 0.0000 0.2342
Se3 Se 0.0000 0.0000 0.5173
Se4 Se 0.0000 0.0000 0.6100
S1 S 0.3333 0.6667 0.0421
S2 S 0.3333 0.6667 0.3337
S3 S 0.3333 0.6667 0.4178
S4 S 0.3333 0.6667 0.9579

=====

# 2
# GGA-PBE SbIF5, optimized geometry
# energy of formation = -2.276 eV/atom
# V = 148.1 Å³/f.u.
# spin magnetization = 0.001 μB/atom
data_SbIF5
_cell_length_a 8.561
_cell_length_b 16.458
_cell_length_c 17.059
_cell_angle_alpha 90.00
_cell_angle_beta 99.66
_cell_angle_gamma 90.00
_space_group_name_H-M_alt 'P 1 21/c 1'
_space_group_IT_number 14
_space_group_name_Hall '-P 2ybc'
loop_
_atom_site_label
_atom_site_type_symbol
_atom_site_fract_x
_atom_site_fract_y
_atom_site_fract_z
Sb1 Sb 0.022 0.240 0.467
Sb2 Sb 0.087 0.005 0.769
Sb3 Sb 0.137 0.219 0.225
Sb4 Sb 0.414 0.714 0.803
I1 I 0.270 0.008 0.520
I2 I 0.348 0.019 0.086
I3 I 0.430 0.616 0.522
I4 I 0.498 0.585 0.094
F1 F 0.005 0.750 0.147
F2 F 0.013 0.647 0.520
F3 F 0.026 0.613 0.261
F4 F 0.028 0.520 0.836
F5 F 0.050 0.223 0.581
F6 F 0.056 0.124 0.455
F7 F 0.101 0.525 0.688
F8 F 0.148 0.118 0.779
F9 F 0.195 0.719 0.812
F10 F 0.200 0.719 0.041
F11 F 0.201 0.518 0.373
F12 F 0.224 0.140 0.158
F13 F 0.245 0.243 0.975
F14 F 0.271 0.522 0.224
F15 F 0.280 0.174 0.317
F16 F 0.354 0.210 0.703
F17 F 0.380 0.645 0.712
F18 F 0.400 0.692 0.237
F19 F 0.447 0.621 0.871
F20 F 0.471 0.718 0.395